# 1
{"formula": "FeNi2", "functional": "PBE", "state": "optimized geometry", "formation_energy_mev_per_atom": 104, "space_group": "Fd-3m, No. 227", "magmom_total_mub_per_fu": 3.95, "cell": [[0.0000, 3.2751, 3.2751], [3.2751, 0.0000, 3.2751], [3.2751, 3.2751, 0.0000]], "species": ["Fe", "Fe", "Ni", "Ni", "Ni", "Ni"], "fractional_positions": [[0.1250, 0.1250, 0.1250], [0.8750, 0.8750, 0.8750], [0.0000, 0.5000, 0.5000], [0.5000, 0.0000, 0.5000], [0.5000, 0.5000, 0.0000], [0.5000, 0.5000, 0.5000]]}

---

# 2
{"formula": "BiTeIO3", "functional": "PBE", "state": "optimized geometry", "formation_energy_mev_per_atom": -1220, "space_group": "P4/nmm, No. 129", "energy_mp2020_ev_per_cell": -122.885, "magmom_total_mub_per_fu": 0.00, "cell": [[3.9690, 0.0000, 0.0000], [0.0000, 3.9690, 0.0000], [0.0000, 0.0000, 29.2475]], "species": ["Bi", "Bi", "Bi", "Bi", "Te", "Te", "Te", "Te", "I", "I", "I", "I", "O", "O", "O", "O", "O", "O", "O", "O", "O", "O", "O", "O"], "fractional_positions": [[0.2500, 0.2500, 0.0429], [0.2500, 0.2500, 0.7108], [0.7500, 0.7500, 0.2892], [0.7500, 0.7500, 0.9571], [0.2500, 0.2500, 0.2121], [0.2500, 0.2500, 0.3751], [0.7500, 0.7500, 0.6249], [0.7500, 0.7500, 0.7879], [0.2500, 0.2500, 0.5560], [0.2500, 0.2500, 0.8928], [0.7500, 0.7500, 0.1072], [0.7500, 0.7500, 0.4440], [0.2500, 0.2500, 0.2800], [0.2500, 0.7500, 0.0000], [0.2500, 0.7500, 0.2274], [0.2500, 0.7500, 0.3446], [0.2500, 0.7500, 0.6554], [0.2500, 0.7500, 0.7726], [0.7500, 0.2500, 0.0000], [0.7500, 0.2500, 0.2274], [0.7500, 0.2500, 0.3446], [0.7500, 0.2500, 0.6554], [0.7500, 0.2500, 0.7726], [0.7500, 0.7500, 0.7200]]}

---

# 3
{"formula": "HfMg14Co", "functional": "PBE", "state": "optimized geometry", "formation_energy_mev_per_atom": 115, "space_group": "P-6m2, No. 187", "magmom_total_mub_per_fu": 1.23, "cell": [[6.2952, 0.0000, 0.0000], [-3.1476, 5.4518, 0.0000], [0.0000, 0.0000, 10.0176]], "species": ["Hf", "Mg", "Mg", "Mg", "Mg", "Mg", "Mg", "Mg", "Mg", "Mg", "Mg", "Mg", "Mg", "Mg", "Mg", "Co"], "fractional_positions": [[0.0000, 0.0000, 0.0000], [0.0091, 0.5046, 0.0000], [0.1595, 0.3190, 0.2616], [0.1595, 0.3190, 0.7384], [0.1595, 0.8405, 0.2616], [0.1595, 0.8405, 0.7384], [0.4954, 0.5046, 0.0000], [0.4954, 0.9909, 0.0000], [0.5021, 0.0042, 0.5000], [0.5021, 0.4979, 0.5000], [0.6667, 0.3333, 0.2429], [0.6667, 0.3333, 0.7571], [0.6810, 0.8405, 0.2616], [0.6810, 0.8405, 0.7384], [0.9958, 0.4979, 0.5000], [0.0000, 0.0000, 0.5000]]}